(1)
Here is a relaxed RbPrNb2O7 crystal from Materials Project. Energies are from GGA-PBE.

Cell: 5.546 22.486 5.573 Å, 90.00 90.00 90.00°
Space group Imma (No. 74)
Asymmetric unit:
Rb1 0.000 0.000 0.000 x4
Pr1 0.000 0.250 0.021 x4
Nb1 0.000 0.147 0.502 x8
O1 0.000 0.067 0.496 x8
O2 0.000 0.250 0.474 x4
O3 0.250 0.166 0.250 x8
O4 0.250 0.168 0.750 x8

Computed properties:
**Crystal system**: orthorhombic
**Corrected total energy (MP2020 scheme)**: -8.66 eV/atom
**Magnetic moment**: 0.00 μB/f.u.
**Energy**: -361.6 eV/cell

(2)
Here is a relaxed Pr2Nb2S7O30 crystal from Materials Project. Energies are from GGA-PBE.

Cell: 13.055 13.055 7.310 Å, 90.00 90.00 90.00°
Space group P-42_1m (No. 113)
Asymmetric unit:
Pr1 0.199 0.301 0.408 x4
Nb1 0.137 0.637 0.984 x4
S1 0.000 0.500 0.344 x2
S2 0.065 0.825 0.288 x8
S3 0.123 0.377 0.898 x4
O1 0.009 0.360 0.878 x8
O2 0.042 0.206 0.314 x8
O3 0.066 0.076 0.747 x8
O4 0.066 0.434 0.457 x4
O5 0.066 0.566 0.225 x4
O6 0.106 0.768 0.119 x8
O7 0.129 0.793 0.444 x8
O8 0.157 0.343 0.078 x4
O9 0.174 0.326 0.746 x4
O10 0.197 0.697 0.794 x4

Computed properties:
**Crystal system**: tetragonal
**Corrected total energy (MP2020 scheme)**: -7.32 eV/atom
**Magnetic moment**: 2.01 μB/f.u.
**Energy**: -558.9 eV/cell

(3)
Here is a relaxed Pr2ScNbO7 crystal from Materials Project. Energies are from GGA-PBE.

Cell: 7.511 7.622 10.700 Å, 90.00 90.00 90.00°
Space group Imma (No. 74)
Asymmetric unit:
Pr1 0.000 0.000 0.000 x4
Pr2 0.250 0.250 0.250 x4
Sc1 0.250 0.250 0.750 x4
Nb1 0.000 0.000 0.500 x4
O1 0.000 0.250 0.127 x4
O2 0.000 0.250 0.430 x4
O3 0.000 0.250 0.842 x4
O4 0.197 0.037 0.624 x16

Computed properties:
**Crystal system**: orthorhombic
**Corrected total energy (MP2020 scheme)**: -9.16 eV/atom
**Magnetic moment**: 0.00 μB/f.u.
**Energy**: -383.6 eV/cell